(1)
This record from the Materials Project describes ScZnPd after structural relaxation. The functional is r²SCAN.

Computed properties:
As for the mass density: 7.0 Mg/m³. The calculation puts the total magnetization at 0.000 μB per formula unit.

Lattice parameters (Å, degrees): 5.039 5.039 5.251 90.00 90.00 129.57
Sites, in units of the cell vectors:
Sc  0.707  0.293  0.250
Sc  0.293  0.707  0.750
Zn  0.000  0.000  0.500
Zn  0.000  0.000  0.000
Pd  0.404  0.596  0.250
Pd  0.596  0.404  0.750


(2)
This record from the Materials Project describes UGa5Pt after structural relaxation. The functional is r²SCAN.

Computed properties:
As for the mass density: 10.1 Mg/m³. The calculation puts the total magnetization at 2.157 μB per formula unit.

Lattice parameters (Å, degrees): 4.337 4.337 6.859 90.00 90.00 90.00
Sites, in units of the cell vectors:
U  0.000  0.000  0.000
Ga  0.500  0.500  0.000
Ga  0.500  0.000  0.703
Ga  0.000  0.500  0.703
Ga  0.500  0.000  0.297
Ga  0.000  0.500  0.297
Pt  0.000  0.000  0.500


(3)
This record from the Materials Project describes SrSbF5 after structural relaxation. The functional is r²SCAN.

Computed properties:
As for the mass density: 4.7 Mg/m³. The calculation puts the total magnetization at 0.000 μB per formula unit.

Lattice parameters (Å, degrees): 4.394 8.764 11.170 90.00 90.00 90.00
Sites, in units of the cell vectors:
Sr  0.012  0.250  0.000
Sr  0.988  0.750  0.500
Sr  0.988  0.750  0.000
Sr  0.012  0.250  0.500
Sb  0.391  0.055  0.250
Sb  0.391  0.445  0.750
Sb  0.609  0.555  0.250
Sb  0.609  0.945  0.750
F  0.089  0.990  0.387
F  0.089  0.510  0.613
F  0.911  0.490  0.113
F  0.911  0.010  0.887
F  0.911  0.010  0.613
F  0.911  0.490  0.387
F  0.089  0.510  0.887
F  0.089  0.990  0.113
F  0.074  0.216  0.250
F  0.074  0.284  0.750
F  0.926  0.716  0.250
F  0.926  0.784  0.750
F  0.476  0.705  0.112
F  0.476  0.795  0.888
F  0.524  0.205  0.388
F  0.524  0.295  0.612
F  0.524  0.295  0.888
F  0.524  0.205  0.112
F  0.476  0.795  0.612
F  0.476  0.705  0.388


Number 1: energy of formation -2.20 eV/f.u.. Number 2: energy of formation -3.78 eV/f.u.. Number 3: energy of formation -22.81 eV/f.u..